Below is a geometry-optimized Li2MnN2 structure, with properties calculated at the GGA-PBE level.

As for the total magnetization: 3.00 μB per formula unit. The calculation puts the calculated volume at 43.0 Å³/f.u. The value obtained for the energy above the most stable polymorph in this dataset is 0 meV per atom. For the formation energy from the elements, the calculation gives -0.5761 eV/atom.

The structure belongs to space group P-3m1 (No. 164); the cell edges are 3.0263, 3.0263 and 5.4232 Å and the angles 90.00°, 90.00° and 120.00°. Symmetry generates all atoms from Li at (0.3333, 0.6667, 0.1463), Mn at (0.0000, 0.0000, 0.5000) and N at (0.3333, 0.6667, 0.6993).

Below is a geometry-optimized Zr2N2O structure, with properties calculated at the GGA-PBE level.

As for the total magnetization: 0.00 μB per formula unit. The calculation puts the calculated volume at 58.0 Å³/f.u. For the formation energy from the elements, the calculation gives -2.1067 eV/atom.

The structure belongs to space group Pnma (No. 62); the cell edges are 8.605, 3.152 and 8.555 Å and the angles 90.00°, 90.00° and 90.00°. Symmetry generates all atoms from Zr at (0.005, 0.250, 0.179), Zr at (0.182, 0.250, 0.501), N at (0.048, 0.750, 0.367), N at (0.124, 0.250, 0.944) and O at (0.226, 0.750, 0.690).

Below is a geometry-optimized Al15Ni3Ge4 structure, with properties calculated at the GGA-PBE level.

As for the total magnetization: 0.05 μB per formula unit. The calculation puts the calculated volume at 371.4 Å³/f.u. For the formation energy from the elements, the calculation gives -0.2074 eV/atom.

The structure belongs to space group I-43m (No. 217); the cell edges are 11.410, 11.410 and 11.410 Å and the angles 90.00°, 90.00° and 90.00°. Symmetry generates all atoms from Al at (0.000, 0.000, 0.191), Al at (0.108, 0.108, 0.617), Al at (0.117, 0.362, 0.638), Ni at (0.000, 0.250, 0.500), Ge at (0.164, 0.164, 0.164) and Ge at (0.168, 0.168, 0.832).

Below is a geometry-optimized NbRu structure, with properties calculated at the GGA-PBE level.

As for the total magnetization: 0.00 μB per formula unit. The calculation puts the calculated volume at 32.3 Å³/f.u. For the formation energy from the elements, the calculation gives -0.0599 eV/atom.

The structure belongs to space group C2/m (No. 12); the cell edges are 4.658, 3.274 and 4.237 Å and the angles 90.00°, 90.20° and 90.00°. Symmetry generates all atoms from Nb at (0.000, 0.000, 0.000) and Ru at (0.000, 0.500, 0.500).

Below is a geometry-optimized Sr2CuCl2O2 structure, with properties calculated at the GGA-PBE level.

As for the total magnetization: 0.00 μB per formula unit. The calculation puts the calculated volume at 149.2 Å³/f.u. For the formation energy from the elements, the calculation gives -1.8420 eV/atom.

The structure belongs to space group P4/mmm (No. 123); the cell edges are 4.939, 4.939 and 6.117 Å and the angles 90.00°, 90.00° and 90.00°. Symmetry generates all atoms from Sr at (0.000, 0.500, 0.000), Cu at (0.000, 0.000, 0.500), Cl at (0.000, 0.500, 0.500), O at (0.000, 0.000, 0.000) and O at (0.500, 0.500, 0.000).

Below is a geometry-optimized LuZrCo2 structure, with properties calculated at the GGA-PBE level.

The calculation puts the calculated volume at 67.7 Å³/f.u. For the formation energy from the elements, the calculation gives -0.2946 eV/atom.

The structure belongs to space group Fm-3m (No. 225); the cell edges are 6.470, 6.470 and 6.470 Å and the angles 90.00°, 90.00° and 90.00°. Symmetry generates all atoms from Lu at (0.000, 0.000, 0.000), Zr at (0.000, 0.000, 0.500) and Co at (0.250, 0.250, 0.250).

Below is a geometry-optimized Sm2S3 structure, with properties calculated at the GGA-PBE level.

The calculation puts the calculated volume at 115.2 Å³/f.u. For the formation energy from the elements, the calculation gives -2.3673 eV/atom.

The structure belongs to space group Pnma (No. 62); the cell edges are 7.438, 3.996 and 15.499 Å and the angles 90.00°, 90.00° and 90.00°. Symmetry generates all atoms from Sm at (0.143, 0.250, 0.205), Sm at (0.235, 0.750, 0.457), S at (0.010, 0.250, 0.391), S at (0.125, 0.750, 0.068) and S at (0.147, 0.250, 0.781).

Below is a geometry-optimized Co7Ge4 structure, with properties calculated at the GGA-PBE level.

The calculation puts the calculated volume at 136.7 Å³/f.u. For the formation energy from the elements, the calculation gives -0.1072 eV/atom.

The structure belongs to space group P-6m2 (No. 187); the cell edges are 3.9898, 3.9898 and 9.9148 Å and the angles 90.00°, 90.00° and 120.00°. Symmetry generates all atoms from Co at (0.0000, 0.0000, 0.0000), Co at (0.3333, 0.6667, 0.1257), Co at (0.3333, 0.6667, 0.3800), Co at (0.6667, 0.3333, 0.2564), Ge at (0.0000, 0.0000, 0.2507), Ge at (0.6667, 0.3333, 0.0000) and Ge at (0.6667, 0.3333, 0.5000).

Below is a geometry-optimized HoBRh3 structure, with properties calculated at the GGA-PBE level.

The calculation puts the calculated volume at 74.2 Å³/f.u. For the formation energy from the elements, the calculation gives -0.8052 eV/atom.

The structure belongs to space group Pm-3m (No. 221); the cell edges are 4.201, 4.201 and 4.201 Å and the angles 90.00°, 90.00° and 90.00°. Symmetry generates all atoms from Ho at (0.000, 0.000, 0.000), B at (0.500, 0.500, 0.500) and Rh at (0.000, 0.500, 0.500).

Below is a geometry-optimized Al2O3 structure, with properties calculated at the GGA-PBE level.

As for the total magnetization: 0.00 μB per formula unit. The calculation puts the calculated volume at 104.4 Å³/f.u. For the formation energy from the elements, the calculation gives -3.2165 eV/atom.

The structure belongs to space group P321 (No. 150); the cell edges are 4.9883, 4.9883 and 14.5337 Å and the angles 90.00°, 90.00° and 120.00°. Symmetry generates all atoms from Al at (0.0000, 0.0000, 0.0926), Al at (0.3333, 0.6667, 0.0822), Al at (0.3333, 0.6667, 0.8807), O at (0.0000, 0.3249, 0.0000) and O at (0.0133, 0.6749, 0.1440).

Below is a geometry-optimized NaTiF4 structure, with properties calculated at the GGA-PBE level.

The calculation puts the calculated volume at 82.7 Å³/f.u. For the formation energy from the elements, the calculation gives -3.4516 eV/atom.

The structure belongs to space group Pbcn (No. 60); the cell edges are 5.075, 5.835 and 11.172 Å and the angles 90.00°, 90.00° and 90.00°. Symmetry generates all atoms from Na at (0.000, 0.000, 0.000), Ti at (0.000, 0.343, 0.250), F at (0.169, 0.320, 0.097) and F at (0.245, 0.086, 0.309).

Below is a geometry-optimized YMg14Cd structure, with properties calculated at the GGA-PBE level.

As for the total magnetization: 0.00 μB per formula unit. The calculation puts the calculated volume at 375.7 Å³/f.u. The value obtained for the energy above the most stable polymorph in this dataset is 0 meV per atom. For the formation energy from the elements, the calculation gives -0.0239 eV/atom.

The structure belongs to space group Amm2 (No. 38); the cell edges are 10.396, 6.440 and 11.224 Å and the angles 90.00°, 90.00° and 90.00°. Symmetry generates all atoms from Y at (0.000, 0.000, 0.000), Mg at (0.000, 0.242, 0.251), Mg at (0.246, 0.000, 0.665), Mg at (0.253, 0.249, 0.415), Mg at (0.255, 0.000, 0.166), Mg at (0.500, 0.000, 0.499), Mg at (0.500, 0.000, 0.998), Mg at (0.500, 0.249, 0.749) and Cd at (0.000, 0.000, 0.493).

What did the eighth record say?
Below is a geometry-optimized Co7Ge4 structure, with properties calculated at the GGA-PBE level.

The calculation puts the calculated volume at 136.7 Å³/f.u. For the formation energy from the elements, the calculation gives -0.1072 eV/atom.

The structure belongs to space group P-6m2 (No. 187); the cell edges are 3.9898, 3.9898 and 9.9148 Å and the angles 90.00°, 90.00° and 120.00°. Symmetry generates all atoms from Co at (0.0000, 0.0000, 0.0000), Co at (0.3333, 0.6667, 0.1257), Co at (0.3333, 0.6667, 0.3800), Co at (0.6667, 0.3333, 0.2564), Ge at (0.0000, 0.0000, 0.2507), Ge at (0.6667, 0.3333, 0.0000) and Ge at (0.6667, 0.3333, 0.5000).